Below is Sn7Os3 after structural relaxation, with properties calculated at the GGA-PBE level.

Electronic total energy   -6.16 eV/atom
ΔE_f   0.02 eV/atom

The structure in POSCAR format:
```
Sn7Os3
1.0
-4.7535 4.7535 4.7535
4.7535 -4.7535 4.7535
4.7535 4.7535 -4.7535
Sn Os
14 6
Direct
0.0000 0.0000 0.3220
0.0000 0.0000 0.6780
0.0000 0.3220 0.0000
0.0000 0.6780 0.0000
0.2500 0.5000 0.7500
0.2500 0.7500 0.5000
0.3220 0.0000 0.0000
0.3220 0.3220 0.3220
0.5000 0.2500 0.7500
0.5000 0.7500 0.2500
0.6780 0.0000 0.0000
0.6780 0.6780 0.6780
0.7500 0.2500 0.5000
0.7500 0.5000 0.2500
0.0000 0.3441 0.3441
0.0000 0.6559 0.6559
0.3441 0.0000 0.3441
0.3441 0.3441 0.0000
0.6559 0.0000 0.6559
0.6559 0.6559 0.0000
```